(1)
MgTa2Fe2O8 | PBE+U | optimized geometry

Geometry as CIF:
```
data_MgTa2Fe2O8
_chemical_formula_sum 'Mg1 Ta2 Fe2 O8'
_cell_length_a 6.8566
_cell_length_b 6.8566
_cell_length_c 7.1706
_cell_angle_alpha 73.17
_cell_angle_beta 106.83
_cell_angle_gamma 146.67
_symmetry_space_group_name_H-M 'P 1'
_symmetry_Int_Tables_number 1
loop_
_symmetry_equiv_pos_as_xyz
'x,y,z'
loop_
_atom_site_label
_atom_site_type_symbol
_atom_site_fract_x
_atom_site_fract_y
_atom_site_fract_z
O1 O 0.1550 0.8450 0.4840
O2 O 0.2543 0.7457 0.1911
O3 O 0.0554 0.9446 0.8833
O4 O 0.8604 0.1396 0.5230
O5 O 0.9433 0.0567 0.1212
O6 O 0.6154 0.3846 0.1869
O7 O 0.3812 0.6188 0.7810
O8 O 0.7521 0.2479 0.8463
Ta1 Ta 0.1002 0.8998 0.2095
Ta2 Ta 0.9027 0.0973 0.8109
Fe1 Fe 0.1898 0.8102 0.7906
Fe2 Fe 0.7955 0.2045 0.1594
Mg1 Mg 0.3147 0.6853 0.4829
```

Properties
E_tot = -8.213 eV per atom
formation enthalpy at 0 K = -2.69 eV/atom

***

(2)
MgTa2Fe2O8 | PBE+U | optimized geometry

Geometry as CIF:
```
data_MgTa2Fe2O8
_chemical_formula_sum 'Mg1 Ta2 Fe2 O8'
_cell_length_a 6.7927
_cell_length_b 6.7927
_cell_length_c 6.8079
_cell_angle_alpha 75.67
_cell_angle_beta 104.33
_cell_angle_gamma 146.71
_symmetry_space_group_name_H-M 'P 1'
_symmetry_Int_Tables_number 1
loop_
_symmetry_equiv_pos_as_xyz
'x,y,z'
loop_
_atom_site_label
_atom_site_type_symbol
_atom_site_fract_x
_atom_site_fract_y
_atom_site_fract_z
Fe1 Fe 0.8004 0.1996 0.2019
Fe2 Fe 0.1996 0.8004 0.7981
O1 O 0.0607 0.9393 0.8887
O2 O 0.3992 0.6008 0.7602
O3 O 0.7545 0.2455 0.8230
O4 O 0.6008 0.3992 0.2398
O5 O 0.9393 0.0607 0.1113
O6 O 0.2455 0.7545 0.1770
O7 O 0.9004 0.0996 0.5014
O8 O 0.0996 0.9004 0.4986
Ta1 Ta 0.0966 0.9034 0.2099
Ta2 Ta 0.9034 0.0966 0.7901
Mg1 Mg 0.5000 0.5000 0.5000
```

Properties
E_tot = -8.134 eV per atom
formation enthalpy at 0 K = -2.61 eV/atom

***

(3)
MgTi2Fe4O8 | PBE+U | optimized geometry

Geometry as CIF:
```
data_MgTi2Fe4O8
_chemical_formula_sum 'Mg1 Ti2 Fe4 O8'
_cell_length_a 6.5379
_cell_length_b 6.5339
_cell_length_c 6.3122
_cell_angle_alpha 55.82
_cell_angle_beta 55.80
_cell_angle_gamma 54.35
_symmetry_space_group_name_H-M 'P 1'
_symmetry_Int_Tables_number 1
loop_
_symmetry_equiv_pos_as_xyz
'x,y,z'
loop_
_atom_site_label
_atom_site_type_symbol
_atom_site_fract_x
_atom_site_fract_y
_atom_site_fract_z
Fe1 Fe 0.5000 0.5000 0.5000
Fe2 Fe 0.1496 0.1496 0.1608
Fe3 Fe 0.8504 0.8504 0.8392
Fe4 Fe 0.5000 0.5000 0.0000
O1 O 0.7366 0.2247 0.2667
O2 O 0.2634 0.7753 0.7333
O3 O 0.2681 0.2678 0.2710
O4 O 0.7693 0.7690 0.2440
O5 O 0.7319 0.7322 0.7290
O6 O 0.2245 0.7367 0.2662
O7 O 0.2307 0.2310 0.7560
O8 O 0.7755 0.2633 0.7338
Mg1 Mg 0.0000 0.0000 0.0000
Ti1 Ti 0.0000 0.5000 0.5000
Ti2 Ti 0.5000 0.0000 0.5000
```

Properties
E_tot = -7.206 eV per atom
formation enthalpy at 0 K = -2.12 eV/atom

***

(4)
MgTi2Fe4O10 | PBE+U | optimized geometry

Geometry as CIF:
```
data_MgTi2Fe4O10
_chemical_formula_sum 'Mg1 Ti2 Fe4 O10'
_cell_length_a 3.9718
_cell_length_b 5.3514
_cell_length_c 10.0033
_cell_angle_alpha 88.41
_cell_angle_beta 90.00
_cell_angle_gamma 111.78
_symmetry_space_group_name_H-M 'P 1'
_symmetry_Int_Tables_number 1
loop_
_symmetry_equiv_pos_as_xyz
'x,y,z'
loop_
_atom_site_label
_atom_site_type_symbol
_atom_site_fract_x
_atom_site_fract_y
_atom_site_fract_z
O1 O 0.3219 0.6439 0.9133
O2 O 0.6781 0.3561 0.0867
O3 O 0.9569 0.9139 0.3795
O4 O 0.7307 0.4614 0.7375
O5 O 0.0431 0.0861 0.6205
O6 O 0.2693 0.5386 0.2625
O7 O 0.9467 0.8935 0.1144
O8 O 0.3079 0.6157 0.5737
O9 O 0.0533 0.1065 0.8856
O10 O 0.6921 0.3843 0.4263
Ti1 Ti 0.1773 0.3546 0.7449
Ti2 Ti 0.8227 0.6454 0.2551
Fe1 Fe 0.8540 0.7079 0.5594
Fe2 Fe 0.1460 0.2921 0.4406
Fe3 Fe 0.8335 0.6669 0.9221
Fe4 Fe 0.1665 0.3331 0.0779
Mg1 Mg 0.5000 0.0000 0.0000
```

Properties
E_tot = -7.317 eV per atom
formation enthalpy at 0 K = -2.33 eV/atom

***

(5)
MgTi2Fe2O6 | PBE+U | optimized geometry

Geometry as CIF:
```
data_MgTi2Fe2O6
_chemical_formula_sum 'Mg1 Ti2 Fe2 O6'
_cell_length_a 5.9503
_cell_length_b 6.0599
_cell_length_c 5.7890
_cell_angle_alpha 52.21
_cell_angle_beta 52.93
_cell_angle_gamma 50.81
_symmetry_space_group_name_H-M 'P 1'
_symmetry_Int_Tables_number 1
loop_
_symmetry_equiv_pos_as_xyz
'x,y,z'
loop_
_atom_site_label
_atom_site_type_symbol
_atom_site_fract_x
_atom_site_fract_y
_atom_site_fract_z
Ti1 Ti 0.6793 0.6846 0.6607
Ti2 Ti 0.3104 0.3223 0.3405
Fe1 Fe 0.8649 0.8624 0.8616
Fe2 Fe 0.1309 0.1339 0.1364
Mg1 Mg 0.5026 0.4959 0.5025
O1 O 0.3005 0.5652 0.9081
O2 O 0.0788 0.7165 0.4626
O3 O 0.5442 0.9096 0.2749
O4 O 0.4540 0.0946 0.7111
O5 O 0.9202 0.2781 0.5512
O6 O 0.7141 0.4368 0.0904
```

Properties
E_tot = -7.468 eV per atom
formation enthalpy at 0 K = -2.43 eV/atom

***

(6)
MgTi2Fe4O8 | PBE+U | optimized geometry

Geometry as CIF:
```
data_MgTi2Fe4O8
_chemical_formula_sum 'Mg1 Ti2 Fe4 O8'
_cell_length_a 6.3457
_cell_length_b 6.0576
_cell_length_c 6.0809
_cell_angle_alpha 59.87
_cell_angle_beta 61.37
_cell_angle_gamma 62.56
_symmetry_space_group_name_H-M 'P 1'
_symmetry_Int_Tables_number 1
loop_
_symmetry_equiv_pos_as_xyz
'x,y,z'
loop_
_atom_site_label
_atom_site_type_symbol
_atom_site_fract_x
_atom_site_fract_y
_atom_site_fract_z
Fe1 Fe 0.5000 0.5000 0.5000
Fe2 Fe 0.0253 0.0966 0.1890
Fe3 Fe 0.9747 0.9034 0.8110
Fe4 Fe 0.5000 0.5000 0.0000
O1 O 0.7369 0.7857 0.2449
O2 O 0.6768 0.2794 0.2719
O3 O 0.2631 0.2143 0.7551
O4 O 0.7517 0.2725 0.7379
O5 O 0.7369 0.7857 0.7325
O6 O 0.2631 0.2143 0.2675
O7 O 0.3232 0.7206 0.7281
O8 O 0.2483 0.7275 0.2621
Ti1 Ti 0.5000 0.0000 0.5000
Ti2 Ti 0.0000 0.5000 0.5000
Mg1 Mg 0.5000 0.0000 0.0000
```

Properties
E_tot = -7.191 eV per atom
formation enthalpy at 0 K = -2.10 eV/atom

***

V (computed, A^3/atom): 13.581; 12.812; 11.325; 11.608; 10.879; 11.321